Entry 1:
## K2Mo2H8O15 (PBE with a Hubbard U)

Data for K2Mo2H8O15 after structural relaxation. Values from VASP.

The structure in Quantum ESPRESSO input format:
```
&SYSTEM
  ibrav = 0, nat = 54, ntyp = 4
/
ATOMIC_SPECIES
O 16.00 O.upf
H 1.01 H.upf
K 39.10 K.upf
Mo 95.94 Mo.upf
ATOMIC_POSITIONS crystal
O 0.201 0.474 0.609
H 0.427 0.189 0.568
O 0.227 0.150 0.983
H 0.287 0.229 0.932
K 0.750 0.266 0.994
O 0.662 0.522 0.098
Mo 0.149 0.530 0.770
O 0.020 0.993 0.821
O 0.338 0.478 0.902
K 0.250 0.734 0.006
K 0.220 0.622 0.366
O 0.548 0.368 0.323
Mo 0.192 0.106 0.209
O 0.980 0.007 0.179
H 0.495 0.686 0.728
H 0.706 0.933 0.057
O 0.425 0.792 0.457
O 0.799 0.526 0.391
O 0.575 0.208 0.543
H 0.713 0.771 0.068
H 0.428 0.698 0.597
Mo 0.808 0.894 0.791
O 0.600 0.635 0.173
H 0.844 0.925 0.335
H 0.678 0.113 0.559
H 0.156 0.075 0.665
Mo 0.851 0.470 0.230
O 0.583 0.781 0.830
O 0.967 0.283 0.178
O 0.825 0.848 0.404
H 0.505 0.314 0.272
O 0.033 0.717 0.822
H 0.572 0.302 0.403
H 0.573 0.811 0.432
H 0.844 0.878 0.477
O 0.417 0.219 0.170
O 0.944 0.380 0.391
H 0.156 0.122 0.523
O 0.056 0.620 0.609
O 0.400 0.365 0.827
O 0.163 0.072 0.366
O 0.837 0.928 0.634
O 0.175 0.152 0.596
K 0.780 0.378 0.634
O 0.485 0.937 0.824
H 0.322 0.887 0.441
O 0.515 0.063 0.176
H 0.294 0.067 0.943
O 0.773 0.850 0.017
O 0.206 0.915 0.175
O 0.063 0.549 0.167
O 0.452 0.632 0.677
O 0.937 0.451 0.833
O 0.794 0.085 0.825
CELL_PARAMETERS angstrom
-1.622 -3.041 -5.432
7.850 0.578 -5.974
5.133 -10.066 1.710
```

Results
The calculation puts the energy of formation from the pure elements at -1.442 eV/atom.

=====

Entry 2:
## K7Mo12H29Pt2O59 (PBE with a Hubbard U)

Data for K7Mo12H29Pt2O59 after structural relaxation. Values from VASP.

The structure in Quantum ESPRESSO input format:
```
&SYSTEM
  ibrav = 0, nat = 109, ntyp = 5
/
ATOMIC_SPECIES
O 16.00 O.upf
H 1.01 H.upf
Mo 95.94 Mo.upf
K 39.10 K.upf
Pt 195.08 Pt.upf
ATOMIC_POSITIONS crystal
O 0.010 0.188 0.937
O 0.641 0.194 0.272
H 0.754 0.515 0.996
O 0.693 0.599 0.246
H 0.576 0.466 0.651
O 0.423 0.261 0.896
O 0.609 0.196 0.773
O 0.805 0.103 0.661
H 0.154 0.379 0.902
O 0.893 0.758 0.266
H 0.731 0.421 0.509
O 0.964 0.802 0.514
O 0.786 0.673 0.501
O 0.750 0.241 0.047
O 0.991 0.812 0.063
O 0.739 0.455 0.452
O 0.196 0.899 0.340
Mo 0.135 0.313 0.646
O 0.417 0.563 0.095
H 0.423 0.947 0.230
O 0.330 0.197 0.120
K 0.422 0.637 0.827
H 0.749 0.257 0.976
H 0.958 0.190 0.858
H 0.687 0.896 0.374
O 0.075 0.660 0.654
H 0.036 0.875 0.058
K 0.923 0.572 0.852
O 0.290 0.986 0.635
K 0.001 0.999 0.498
O 0.292 0.748 0.476
O 0.680 0.811 0.368
O 0.582 0.439 0.906
H 0.501 0.016 0.500
O 0.633 0.538 0.687
O 0.106 0.243 0.735
O 0.152 0.453 0.967
Pt 0.372 0.211 0.501
H 0.184 0.583 0.574
H 0.236 0.843 0.978
O 0.223 0.106 0.353
O 0.425 0.234 0.370
O 0.825 0.991 0.909
O 0.472 0.897 0.498
K 0.246 0.093 0.873
H 0.044 0.809 0.143
Mo 0.302 0.775 0.330
O 0.702 0.249 0.523
H 0.243 0.410 0.509
H 0.965 0.124 0.942
O 0.395 0.807 0.230
O 0.025 0.428 0.654
Pt 0.627 0.788 0.500
H 0.579 0.052 0.771
O 0.484 0.679 0.356
O 0.811 0.344 0.780
O 0.525 0.098 0.503
O 0.437 0.029 0.237
O 0.503 0.000 0.992
O 0.261 0.545 0.547
Mo 0.529 0.683 0.194
O 0.307 0.402 0.754
Mo 0.607 0.140 0.368
O 0.131 0.242 0.239
O 0.868 0.757 0.760
H 0.311 0.104 0.626
O 0.975 0.572 0.345
O 0.925 0.098 0.235
Mo 0.029 0.220 0.338
H 0.760 0.590 0.491
O 0.578 0.739 0.104
H 0.269 0.581 0.492
O 0.368 0.461 0.311
O 0.363 0.805 0.726
H 0.846 0.621 0.099
O 0.175 0.008 0.091
O 0.250 0.759 0.954
H 0.783 0.978 0.649
Mo 0.865 0.687 0.354
O 0.671 0.801 0.880
O 0.319 0.189 0.632
K 0.755 0.905 0.125
H 0.406 0.415 0.362
H 0.215 0.022 0.351
O 0.848 0.548 0.034
H 0.595 0.587 0.639
H 0.252 0.743 0.024
K 0.577 0.366 0.173
O 0.708 0.014 0.363
O 0.575 0.764 0.629
Mo 0.269 0.135 0.199
Mo 0.701 0.228 0.674
H 0.816 0.415 0.426
O 0.927 0.341 0.347
O 0.516 0.320 0.644
Mo 0.471 0.319 0.807
O 0.563 0.970 0.763
Mo 0.730 0.864 0.801
Mo 0.391 0.860 0.627
O 0.217 0.327 0.499
H 0.247 0.486 0.005
O 0.775 0.895 0.647
O 0.074 0.903 0.765
O 0.194 0.658 0.223
Mo 0.971 0.780 0.662
O 0.037 0.199 0.486
H 0.423 0.535 0.347
K 0.079 0.431 0.150
H 0.763 0.157 0.023
CELL_PARAMETERS angstrom
4.030 5.753 -7.665
-9.737 -1.072 -7.442
-2.514 7.326 9.969
```

Results
The calculation puts the energy of formation from the pure elements at -1.636 eV/atom.

=====

Entry 3:
## K3MoHS4O (PBE with a Hubbard U)

Data for K3MoHS4O after structural relaxation. Values from VASP.

The structure in Quantum ESPRESSO input format:
```
&SYSTEM
  ibrav = 0, nat = 20, ntyp = 5
/
ATOMIC_SPECIES
S 32.06 S.upf
O 16.00 O.upf
Mo 95.94 Mo.upf
H 1.01 H.upf
K 39.10 K.upf
ATOMIC_POSITIONS crystal
S 0.406 0.851 0.686
S 0.594 0.351 0.186
O 0.371 0.179 0.500
Mo 0.499 0.990 0.500
H 0.091 0.666 0.500
O 0.629 0.679 0.000
S 0.997 0.520 0.500
S 0.406 0.851 0.314
S 0.839 0.022 0.500
S 0.161 0.522 0.000
S 0.003 0.020 0.000
K 0.895 0.740 0.772
Mo 0.501 0.490 0.000
K 0.501 0.498 0.500
K 0.895 0.740 0.228
K 0.499 0.998 0.000
H 0.909 0.166 0.000
K 0.105 0.240 0.272
S 0.594 0.351 0.814
K 0.105 0.240 0.728
CELL_PARAMETERS angstrom
-3.081 -5.639 1.036
-2.392 2.679 7.466
-8.107 3.708 -3.928
```

Results
The calculation puts the energy of formation from the pure elements at -1.183 eV/atom.

=====

Entry 4:
## K2MoH2S2O9 (PBE with a Hubbard U)

Data for K2MoH2S2O9 after structural relaxation. Values from VASP.

The structure in Quantum ESPRESSO input format:
```
&SYSTEM
  ibrav = 0, nat = 64, ntyp = 5
/
ATOMIC_SPECIES
O 16.00 O.upf
S 32.06 S.upf
H 1.01 H.upf
Mo 95.94 Mo.upf
K 39.10 K.upf
ATOMIC_POSITIONS crystal
O 0.377 0.448 0.375
S 0.193 0.215 0.895
O 0.090 0.149 0.906
H 0.005 0.716 0.813
S 0.420 0.750 0.067
O 0.149 0.090 0.406
O 0.851 0.910 0.594
O 0.910 0.851 0.094
Mo 0.459 0.044 0.099
O 0.292 0.722 0.060
S 0.250 0.580 0.433
O 0.930 0.249 0.151
O 0.372 0.119 0.341
S 0.215 0.193 0.395
H 0.022 0.793 0.934
S 0.750 0.420 0.567
O 0.212 0.536 0.572
O 0.667 0.881 0.190
H 0.995 0.284 0.187
O 0.448 0.377 0.875
K 0.506 0.783 0.410
O 0.881 0.667 0.690
O 0.369 0.889 0.148
H 0.207 0.978 0.566
O 0.631 0.111 0.852
O 0.628 0.881 0.659
S 0.785 0.807 0.605
O 0.249 0.930 0.651
O 0.708 0.278 0.940
H 0.793 0.022 0.434
O 0.119 0.372 0.841
Mo 0.541 0.956 0.901
O 0.333 0.119 0.810
O 0.070 0.751 0.849
H 0.284 0.995 0.687
K 0.652 0.348 0.250
O 0.751 0.070 0.349
Mo 0.044 0.459 0.599
O 0.111 0.631 0.352
H 0.978 0.207 0.066
O 0.788 0.464 0.428
O 0.536 0.212 0.072
K 0.070 0.930 0.250
H 0.716 0.005 0.313
O 0.756 0.784 0.969
O 0.881 0.628 0.159
K 0.494 0.217 0.590
S 0.807 0.785 0.105
O 0.784 0.756 0.469
O 0.119 0.333 0.310
O 0.722 0.292 0.560
K 0.783 0.506 0.910
O 0.623 0.552 0.625
Mo 0.956 0.541 0.401
K 0.217 0.494 0.090
O 0.278 0.708 0.440
K 0.348 0.652 0.750
O 0.464 0.788 0.928
O 0.552 0.623 0.125
O 0.244 0.216 0.031
O 0.889 0.369 0.648
K 0.930 0.070 0.750
O 0.216 0.244 0.531
S 0.580 0.250 0.933
CELL_PARAMETERS angstrom
-4.505 -5.838 -6.949
5.761 -5.901 -5.887
-0.687 -8.134 6.160
```

Results
The calculation puts the energy of formation from the pure elements at -1.822 eV/atom.